A plane-wave DFT calculation with PBE was carried out for crystalline Cu3AsS4 at its relaxed geometry.

Geometry as POSCAR:
```
Cu3AsS4
1.0
6.1100 0.0000 0.0000
0.0000 4.0415 0.0000
-0.2484 0.0000 6.2846
Cu As S
3 1 4
Cartesian
0.0000 0.0000 0.0000
1.1834 2.0208 3.3621
2.5973 2.0208 6.2614
4.3331 0.0000 2.7349
0.4997 0.0000 2.4060
0.4716 2.0208 5.5534
3.5102 2.0208 3.6180
3.7990 0.0000 0.4984
```

- space group = Pm
- spin magnetization (μB/cell) = 0.000
- calculated formation energy (eV/atom) = -0.341
- total energy (eV for the cell shown) = -34.22

=====

A plane-wave DFT calculation with PBE was carried out for crystalline Gd3Er at its relaxed geometry.

Geometry as POSCAR:
```
Gd3Er
1.0
5.0403 0.0000 0.0000
0.0000 5.0403 0.0000
0.0000 0.0000 5.0403
Gd Er
3 1
Cartesian
0.0000 0.0000 2.5201
0.0000 2.5201 0.0000
2.5201 0.0000 0.0000
2.5201 2.5201 2.5201
```

- space group = Pm-3m
- calculated formation energy (eV/atom) = 0.031
- total energy (eV for the cell shown) = -46.67

=====

A plane-wave DFT calculation with PBE was carried out for crystalline IrCl3 at its relaxed geometry.

Geometry as POSCAR:
```
IrCl3
1.0
6.1442 0.0000 0.0000
0.0000 10.6378 0.0000
-1.9848 0.0000 6.2055
Ir Cl
4 12
Cartesian
0.0000 1.7731 0.0000
0.0000 8.8647 0.0000
3.0721 3.5458 0.0000
3.0721 7.0920 0.0000
0.8966 0.0000 1.2950
1.0878 3.4361 1.2933
1.0878 7.2018 1.2933
-0.0005 1.8829 4.9122
-0.0005 8.7550 4.9122
0.1908 5.3189 4.9105
3.9687 5.3189 1.2950
4.1599 1.8829 1.2933
4.1599 8.7550 1.2933
3.0717 3.4361 4.9122
3.0717 7.2018 4.9122
3.2629 0.0000 4.9105
```

- space group = C2/m
- calculated formation energy (eV/atom) = -0.959
- total energy (eV for the cell shown) = -65.51

=====

A plane-wave DFT calculation with PBE was carried out for crystalline Ba2LiTmCu3O7 at its relaxed geometry.

Geometry as POSCAR:
```
Ba2LiTmCu3O7
1.0
3.7747 0.0000 0.0000
0.0000 4.0059 0.0000
0.0000 0.0000 12.5859
Ba Li Tm Cu O
2 1 1 3 7
Cartesian
0.0000 0.0000 0.0000
0.0000 0.0000 5.3062
0.0000 2.0029 3.3486
0.0000 0.0000 8.8819
1.8874 2.0029 2.0532
1.8874 2.0029 7.3580
1.8874 2.0029 10.4216
0.0000 2.0029 7.1984
0.0000 2.0029 10.0344
1.8874 0.0000 2.1322
1.8874 0.0000 7.3708
1.8874 0.0000 10.2108
1.8874 2.0029 0.1947
1.8874 2.0029 4.0661
```

- energy above the most stable polymorph in this dataset (eV per atom) = 0.061
- space group = Pmm2
- spin magnetization (μB/cell) = 0.000
- calculated formation energy (eV/atom) = -2.051
- total energy (eV for the cell shown) = -81.06

=====

A plane-wave DFT calculation with PBE was carried out for crystalline MgV2S4 at its relaxed geometry.

Geometry as POSCAR:
```
MgV2S4
1.0
3.2540 0.0000 0.0000
-1.6270 2.8180 0.0000
0.0000 0.0000 14.1499
Mg V S
1 2 4
Cartesian
0.0000 0.0000 0.0000
0.0000 0.0000 10.9326
1.6270 0.9393 3.8786
0.0000 0.0000 2.4288
0.0000 0.0000 5.3160
1.6270 0.9393 9.4786
1.6270 0.9393 12.4446
```

- energy above the most stable polymorph in this dataset (eV per atom) = 0.145
- space group = P3m1
- spin magnetization (μB/cell) = 0.208
- calculated formation energy (eV/atom) = -1.128
- total energy (eV for the cell shown) = -42.20

=====

A plane-wave DFT calculation with PBE was carried out for crystalline MnC8N2Cl4 at its relaxed geometry.

Geometry as POSCAR:
```
MnC8N2Cl4
1.0
12.0059 0.0000 0.0000
0.0000 8.9699 0.0000
0.0000 0.0000 16.9114
Mn C N Cl
4 32 8 16
Cartesian
2.9789 2.2425 1.6898
3.0240 6.7275 10.1455
8.9818 2.2425 6.7659
9.0270 6.7275 15.2216
0.1119 2.2425 13.4240
0.1587 1.4512 10.9059
0.1587 3.0338 10.9059
0.2478 2.2425 9.7407
0.8423 6.7275 15.8210
1.5688 5.8059 14.9107
1.5688 7.6490 14.9107
2.6825 6.7275 14.5531
3.3205 2.2425 6.0974
4.4342 1.3210 6.4550
4.4342 3.1640 6.4550
5.1606 2.2425 7.3653
5.7552 6.7275 1.2850
5.8443 5.9362 2.4503
5.8443 7.5187 2.4503
5.8911 6.7275 4.9683
6.1148 2.2425 11.9431
6.1616 1.4512 14.4611
6.1616 3.0338 14.4611
6.2507 2.2425 15.6263
6.8452 6.7275 9.5461
7.5717 5.8059 10.4563
7.5717 7.6490 10.4563
8.6854 6.7275 10.8139
9.3234 2.2425 2.3582
10.4371 1.3210 2.0007
10.4371 3.1640 2.0007
11.1636 2.2425 1.0904
11.7581 6.7275 7.1706
11.8472 5.9362 6.0054
11.8472 7.5187 6.0054
11.8940 6.7275 3.4874
0.1011 2.2425 12.1742
2.3692 6.7275 16.0738
3.6337 2.2425 7.6181
5.9018 6.7275 3.7185
6.1041 2.2425 13.1929
8.3722 6.7275 9.2932
9.6366 2.2425 0.8376
11.9047 6.7275 4.7372
0.9333 6.7275 10.1681
2.3980 0.3496 2.4958
2.4047 2.2425 16.5788
2.3980 4.1354 2.4958
3.6050 4.8345 10.9515
3.5982 6.7275 8.1231
3.6050 8.6204 10.9515
5.0697 2.2425 1.7124
6.9362 6.7275 15.1989
8.4009 0.3496 5.9599
8.4077 2.2425 8.7883
8.4009 4.1354 5.9599
9.6079 4.8345 14.4156
9.6011 6.7275 0.3326
9.6079 8.6204 14.4156
11.0726 2.2425 6.7432
```

- space group = Pnma
- spin magnetization (μB/cell) = 0.149
- calculated formation energy (eV/atom) = 1.317
- total energy (eV for the cell shown) = -339.41